Entry 1:
First-principles (PBE-GGA) data for a geometry-optimized Ta3CoS6 structure, as listed in the Materials Project database.

Results
Energy with MP2020 corrections   -8.02 eV/atom
Symmetry   P6_322
ΔE_f   -1273 meV per atom
ρ   7.7 g cm⁻³
Uncorrected energy   -154.42 eV per cell

Unit cell a=5.768 b=5.768 c=11.847 alpha=90.00 beta=90.00 gamma=120.00
Fractional coordinates of all 20 atoms:
Ta1 0.000 0.000 0.500
Ta2 0.000 0.000 0.000
Ta3 0.667 0.333 0.002
Ta4 0.333 0.667 0.502
Ta5 0.333 0.667 0.998
Ta6 0.667 0.333 0.498
S1 0.333 0.332 0.632
S2 0.332 0.333 0.368
S3 0.668 0.001 0.632
S4 0.332 0.999 0.132
S5 0.999 0.332 0.868
S6 0.668 0.667 0.868
S7 0.667 0.999 0.368
S8 0.667 0.668 0.132
S9 0.999 0.667 0.632
S10 0.001 0.668 0.368
S11 0.333 0.001 0.868
S12 0.001 0.333 0.132
Co1 0.333 0.667 0.250
Co2 0.667 0.333 0.750

Entry 2:
First-principles (PBE-GGA) data for a geometry-optimized CsKMg14O15 structure, as listed in the Materials Project database.

Results
Energy with MP2020 corrections   -5.70 eV/atom
Symmetry   Pmm2
ΔE_f   -2515 meV per atom
ρ   3.6 g cm⁻³
Uncorrected energy   -166.29 eV per cell

Unit cell a=8.635 b=8.964 c=4.514 alpha=90.00 beta=90.00 gamma=90.00
Fractional coordinates of all 31 atoms:
Mg1 0.245 0.784 0.000
Mg2 0.754 0.260 0.000
Mg3 0.761 0.500 0.500
Mg4 0.741 0.000 0.500
Mg5 0.497 0.000 0.000
Mg6 0.519 0.500 0.000
Mg7 0.245 0.216 0.000
Mg8 0.992 0.246 0.500
Mg9 0.754 0.740 0.000
Mg10 0.246 0.000 0.500
Mg11 0.498 0.251 0.500
Mg12 0.498 0.749 0.500
Mg13 0.265 0.500 0.500
Mg14 0.992 0.754 0.500
O1 0.247 0.743 0.500
O2 0.491 0.000 0.500
O3 0.272 0.000 0.000
O4 0.009 0.000 0.500
O5 0.743 0.750 0.500
O6 0.743 0.250 0.500
O7 0.481 0.732 0.000
O8 0.994 0.500 0.500
O9 0.715 0.000 0.000
O10 0.247 0.257 0.500
O11 0.481 0.268 0.000
O12 0.741 0.500 0.000
O13 0.492 0.500 0.500
O14 0.994 0.257 0.000
O15 0.994 0.743 0.000
Cs1 0.113 0.500 0.000
K1 0.984 0.000 0.000

Entry 3:
First-principles (PBE-GGA) data for a geometry-optimized SrMg14CdO16 structure, as listed in the Materials Project database.

Results
Energy with MP2020 corrections   -6.10 eV/atom
Symmetry   P4/mmm
ΔE_f   -2841 meV per atom
ρ   3.9 g cm⁻³
Uncorrected energy   -184.10 eV per cell

Unit cell a=8.729 b=8.729 c=4.438 alpha=90.00 beta=90.00 gamma=90.00
Fractional coordinates of all 32 atoms:
O1 0.270 0.000 0.000
O2 0.000 0.000 0.500
O3 0.000 0.730 0.000
O4 0.750 0.750 0.500
O5 0.500 0.500 0.500
O6 0.730 0.000 0.000
O7 0.762 0.500 0.000
O8 0.500 0.762 0.000
O9 0.750 0.250 0.500
O10 0.250 0.750 0.500
O11 0.500 0.238 0.000
O12 0.250 0.250 0.500
O13 0.238 0.500 0.000
O14 0.500 0.000 0.500
O15 0.000 0.270 0.000
O16 0.000 0.500 0.500
Mg1 0.000 0.259 0.500
Mg2 0.500 0.000 0.000
Mg3 0.500 0.754 0.500
Mg4 0.500 0.246 0.500
Mg5 0.253 0.253 0.000
Mg6 0.000 0.741 0.500
Mg7 0.253 0.747 0.000
Mg8 0.000 0.500 0.000
Mg9 0.259 0.000 0.500
Mg10 0.246 0.500 0.500
Mg11 0.754 0.500 0.500
Mg12 0.741 0.000 0.500
Mg13 0.747 0.747 0.000
Mg14 0.747 0.253 0.000
Cd1 0.500 0.500 0.000
Sr1 0.000 0.000 0.000

Entry 4:
First-principles (PBE-GGA) data for a geometry-optimized K2RbPt structure, as listed in the Materials Project database.

Results
Symmetry   P4/mbm
ΔE_f   162 meV per atom
ρ   3.7 g cm⁻³
Uncorrected energy   -17.25 eV per cell

Unit cell a=7.675 b=7.675 c=5.446 alpha=90.00 beta=90.00 gamma=90.00
Fractional coordinates of all 8 atoms:
Rb1 0.000 0.000 0.000
Rb2 0.500 0.500 0.000
K1 0.677 0.823 0.500
K2 0.177 0.677 0.500
K3 0.323 0.177 0.500
K4 0.823 0.323 0.500
Pt1 0.000 0.500 0.000
Pt2 0.500 0.000 0.000

Entry 5:
First-principles (PBE-GGA) data for a geometry-optimized Eu2HoTaO6 structure, as listed in the Materials Project database.

Results
Energy with MP2020 corrections   -10.25 eV/atom
Symmetry   P2_1/c
ΔE_f   -3589 meV per atom
ρ   8.8 g cm⁻³
Uncorrected energy   -196.82 eV per cell

Unit cell a=5.902 b=5.793 c=10.089 alpha=54.84 beta=90.00 gamma=90.00
Fractional coordinates of all 20 atoms:
O1 0.696 0.324 0.953
O2 0.778 0.757 0.052
O3 0.028 0.857 0.735
O4 0.472 0.857 0.235
O5 0.722 0.757 0.552
O6 0.222 0.243 0.948
O7 0.972 0.143 0.265
O8 0.196 0.676 0.547
O9 0.304 0.676 0.047
O10 0.804 0.324 0.453
O11 0.528 0.143 0.765
O12 0.278 0.243 0.448
Eu1 0.043 0.737 0.251
Eu2 0.957 0.263 0.749
Eu3 0.457 0.737 0.751
Eu4 0.543 0.263 0.249
Ta1 0.000 0.000 0.500
Ta2 0.500 0.000 0.000
Ho1 0.000 0.500 0.000
Ho2 0.500 0.500 0.500

Entry 6:
First-principles (PBE-GGA) data for a geometry-optimized CoAsS structure, as listed in the Materials Project database.

Results
Energy with MP2020 corrections   -5.62 eV/atom
Symmetry   Pca2_1
ΔE_f   -319 meV per atom
ρ   5.0 g cm⁻³
Uncorrected energy   -65.43 eV per cell

Unit cell a=4.846 b=6.360 c=7.152 alpha=90.00 beta=90.00 gamma=90.00
Fractional coordinates of all 12 atoms:
Co1 0.485 0.554 0.075
Co2 0.985 0.446 0.075
Co3 0.515 0.446 0.575
Co4 0.015 0.554 0.575
S1 0.325 0.231 0.080
S2 0.825 0.769 0.080
S3 0.675 0.769 0.580
S4 0.175 0.231 0.580
As1 0.315 0.703 0.357
As2 0.815 0.297 0.357
As3 0.685 0.297 0.857
As4 0.185 0.703 0.857

Entry 7:
First-principles (PBE-GGA) data for a geometry-optimized TmMgSbPb2O6 structure, as listed in the Materials Project database.

Results
Energy with MP2020 corrections   -6.64 eV/atom
Symmetry   P1
ΔE_f   -2341 meV per atom
ρ   6.6 g cm⁻³
Uncorrected energy   -68.95 eV per cell

Unit cell a=7.979 b=6.168 c=5.920 alpha=56.87 beta=59.32 gamma=65.77
Fractional coordinates of all 11 atoms:
O1 0.192 0.737 0.823
O2 0.137 0.795 0.332
O3 0.714 0.786 0.319
O4 0.257 0.183 0.722
O5 0.914 0.239 0.631
O6 0.884 0.371 0.093
Sb1 0.709 0.417 0.457
Tm1 0.959 0.994 0.060
Mg1 0.118 0.530 0.731
Pb1 0.239 0.117 0.368
Pb2 0.419 0.778 0.924

Entry 8:
First-principles (PBE-GGA) data for a geometry-optimized Ti2CoTc structure, as listed in the Materials Project database.

Results
Symmetry   Fm-3m
ΔE_f   -512 meV per atom
ρ   7.5 g cm⁻³
Uncorrected energy   -35.31 eV per cell

Unit cell a=4.291 b=4.291 c=4.291 alpha=60.00 beta=60.00 gamma=60.00
Fractional coordinates of all 4 atoms:
Co1 0.000 0.000 0.000
Tc1 0.500 0.500 0.500
Ti1 0.250 0.250 0.250
Ti2 0.750 0.750 0.750